1.
## KBaFe2P3O12 (GGA+U)

Data for KBaFe2P3O12 after structural relaxation.

a = 10.0233 Å, b = 10.0233 Å, c = 10.0233 Å
α = 90.00°, β = 90.00°, γ = 90.00°
With the nearest neighbours (Å) after each atom.
Sites, in units of the cell vectors:
K  0.2025  0.7025  0.7975  9 O 2.85-3.19
K  0.2975  0.2975  0.2975  9 O 2.85-3.19
K  0.7025  0.7975  0.2025  9 O 2.85-3.19
K  0.7975  0.2025  0.7025  9 O 2.85-3.19
Ba  0.0675  0.0675  0.0675  9 O 2.88-3.02
Ba  0.4325  0.9325  0.5675  9 O 2.88-3.02
Ba  0.5675  0.4325  0.9325  9 O 2.88-3.02
Ba  0.9325  0.5675  0.4325  9 O 2.88-3.02
Fe  0.0858  0.9142  0.4142  6 O 1.99-2.03
Fe  0.1487  0.3513  0.6487  6 O 2.02-2.05
Fe  0.3513  0.6487  0.1487  6 O 2.02-2.05
Fe  0.4142  0.0858  0.9142  6 O 1.99-2.03
Fe  0.5858  0.5858  0.5858  6 O 1.99-2.03
Fe  0.6487  0.1487  0.3513  6 O 2.02-2.05
Fe  0.8513  0.8513  0.8513  6 O 2.02-2.05
Fe  0.9142  0.4142  0.0858  6 O 1.99-2.03
P  0.0386  0.7272  0.1269  4 O 1.54-1.56
P  0.1269  0.0386  0.7272  4 O 1.54-1.56
P  0.2272  0.3731  0.9614  4 O 1.54-1.56
P  0.2728  0.6269  0.4614  4 O 1.54-1.56
P  0.3731  0.9614  0.2272  4 O 1.54-1.56
P  0.4614  0.2728  0.6269  4 O 1.54-1.56
P  0.5386  0.7728  0.8731  4 O 1.54-1.56
P  0.6269  0.4614  0.2728  4 O 1.54-1.56
P  0.7272  0.1269  0.0386  4 O 1.54-1.56
P  0.7728  0.8731  0.5386  4 O 1.54-1.56
P  0.8731  0.5386  0.7728  4 O 1.54-1.56
P  0.9614  0.2272  0.3731  4 O 1.54-1.56
O  0.9996  0.0802  0.3469  1 P 1.54
O  0.0154  0.8014  0.2614  1 P 1.56
O  0.0245  0.9476  0.7986  1 P 1.55
O  0.0524  0.2986  0.4755  1 P 1.55
O  0.0791  0.1851  0.7397  1 P 1.55
O  0.0802  0.3469  0.9996  1 P 1.54
O  0.1531  0.0004  0.5802  1 P 1.54
O  0.1851  0.7397  0.0791  1 P 1.55
O  0.1986  0.7614  0.4846  1 P 1.56
O  0.2014  0.5245  0.5524  1 P 1.55
O  0.2386  0.9846  0.3014  1 P 1.56
O  0.2397  0.4209  0.8149  1 P 1.55
O  0.2603  0.5791  0.3149  1 P 1.55
O  0.2614  0.0154  0.8014  1 P 1.56
O  0.2986  0.4755  0.0524  1 P 1.55
O  0.3014  0.2386  0.9846  1 P 1.56
O  0.3149  0.2603  0.5791  1 P 1.55
O  0.3469  0.9996  0.0802  1 P 1.54
O  0.4198  0.6531  0.4996  1 P 1.54
O  0.4209  0.8149  0.2397  1 P 1.55
O  0.4476  0.7014  0.9755  1 P 1.55
O  0.4755  0.0524  0.2986  1 P 1.55
O  0.4846  0.1986  0.7614  1 P 1.56
O  0.5004  0.9198  0.8469  1 P 1.54
O  0.4996  0.4198  0.6531  1 P 1.54
O  0.5154  0.6986  0.7386  1 P 1.56
O  0.5245  0.5524  0.2014  1 P 1.55
O  0.5524  0.2014  0.5245  1 P 1.55
O  0.5791  0.3149  0.2603  1 P 1.55
O  0.5802  0.1531  0.0004  1 P 1.54
O  0.6531  0.4996  0.4198  1 P 1.54
O  0.6851  0.7603  0.9209  1 P 1.55
O  0.6986  0.7386  0.5154  1 P 1.56
O  0.7014  0.9755  0.4476  1 P 1.55
O  0.7386  0.5154  0.6986  1 P 1.56
O  0.7397  0.0791  0.1851  1 P 1.55
O  0.7603  0.9209  0.6851  1 P 1.55
O  0.7614  0.4846  0.1986  1 P 1.56
O  0.7986  0.0245  0.9476  1 P 1.55
O  0.8014  0.2614  0.0154  1 P 1.56
O  0.8149  0.2397  0.4209  1 P 1.55
O  0.8469  0.5004  0.9198  1 P 1.54
O  0.9198  0.8469  0.5004  1 P 1.54
O  0.9209  0.6851  0.7603  1 P 1.55
O  0.9476  0.7986  0.0245  1 P 1.55
O  0.9755  0.4476  0.7014  1 P 1.55
O  0.9846  0.3014  0.2386  1 P 1.56
O  0.0004  0.5802  0.1531  1 P 1.54

Properties
raw total energy = -6.71 eV/atom
DFT formation energy = -2.35 eV/atom

2.
## BaNaLaFeO6 (GGA+U)

Data for BaNaLaFeO6 after structural relaxation.

a = 5.9550 Å, b = 5.9550 Å, c = 5.9550 Å
α = 60.00°, β = 60.00°, γ = 60.00°
With the nearest neighbours (Å) after each atom.
Sites, in units of the cell vectors:
Ba  0.2500  0.2500  0.2500  12 O 2.99
Na  0.7500  0.7500  0.7500  12 O 2.99
La  0.5000  0.5000  0.5000  6 O 2.33
Fe  0.0000  0.0000  0.0000  6 O 1.88
O  0.7769  0.2231  0.2231  1 Fe 1.88
O  0.2231  0.7769  0.7769  1 Fe 1.88
O  0.7769  0.2231  0.7769  1 Fe 1.88
O  0.2231  0.7769  0.2231  1 Fe 1.88
O  0.7769  0.7769  0.2231  1 Fe 1.88
O  0.2231  0.2231  0.7769  1 Fe 1.88

Properties
raw total energy = -6.20 eV/atom
DFT formation energy = -2.20 eV/atom

3.
## BaLaFe2O6 (GGA+U)

Data for BaLaFe2O6 after structural relaxation.

a = 5.5956 Å, b = 5.5956 Å, c = 8.0741 Å
α = 90.00°, β = 90.00°, γ = 90.00°
With the nearest neighbours (Å) after each atom.
Sites, in units of the cell vectors:
Ba  0.0000  0.4999  0.2500  12 O 2.80-2.83
Ba  0.5000  0.0001  0.7500  12 O 2.80-2.83
La  0.0001  0.5001  0.7500  12 O 2.80-2.83
La  0.4998  0.9998  0.2500  12 O 2.80-2.83
Fe  0.0000  0.0000  0.5000  6 O 1.94-2.08
Fe  0.5000  0.5000  0.5000  6 O 1.96-2.02
Fe  0.5000  0.5000  0.0000  6 O 1.94-2.08
Fe  0.9999  0.0000  0.0000  6 O 1.96-2.02
O  0.7447  0.7446  0.0000  2 Fe 1.94-2.02
O  0.2447  0.2447  0.5000  2 Fe 1.94-2.02
O  0.2554  0.2553  0.0000  2 Fe 1.94-2.02
O  0.7554  0.7554  0.5000  2 Fe 1.94-2.02
O  0.5000  0.5000  0.7423  2 Fe 1.96-2.08
O  0.0001  0.0000  0.2423  2 Fe 1.96-2.08
O  0.5000  0.5001  0.2577  2 Fe 1.96-2.08
O  0.0000  0.9999  0.7577  2 Fe 1.96-2.08
O  0.7447  0.2553  0.0000  2 Fe 1.94-2.02
O  0.2447  0.7553  0.5000  2 Fe 1.94-2.02
O  0.2553  0.7447  0.0000  2 Fe 1.94-2.02
O  0.7554  0.2447  0.5000  2 Fe 1.94-2.02

Properties
raw total energy = -6.94 eV/atom
offset from the most stable computed form = 5 meV per atom
DFT formation energy = -2.45 eV/atom

4.
## BaLaFe2O6 (GGA+U)

Data for BaLaFe2O6 after structural relaxation.

a = 5.6250 Å, b = 5.6250 Å, c = 5.6250 Å
α = 60.00°, β = 60.00°, γ = 60.00°
With the nearest neighbours (Å) after each atom.
Sites, in units of the cell vectors:
Ba  0.5000  0.5000  0.5000  12 O 2.81
La  0.0000  0.0000  0.0000  12 O 2.81
Fe  0.7500  0.7500  0.7500  6 O 1.99
Fe  0.2500  0.2500  0.2500  6 O 1.99
O  0.0000  0.0000  0.5000  2 Fe 1.99
O  0.5000  0.5000  0.0000  2 Fe 1.99
O  0.0000  0.5000  0.0000  2 Fe 1.99
O  0.5000  0.0000  0.5000  2 Fe 1.99
O  0.5000  0.0000  0.0000  2 Fe 1.99
O  0.0000  0.5000  0.5000  2 Fe 1.99

Properties
raw total energy = -6.94 eV/atom
offset from the most stable computed form = 0 meV per atom
DFT formation energy = -2.46 eV/atom